Entry from the Materials Project: CdC after structural relaxation (PBE). Values from VASP.

## Properties
Total magnetization: 0.006 μB per formula unit
E_form: 192.0 kJ per mole of atoms
Crystal system: cubic

The structure in Quantum ESPRESSO input format:
```
&SYSTEM
  ibrav = 0, nat = 2, ntyp = 2
/
ATOMIC_SPECIES
C 12.01 C.upf
Cd 112.41 Cd.upf
CELL_PARAMETERS angstrom
-0.3360 -3.4162 0.0914
-2.8279 -1.4815 -1.2647
0.1688 -1.8202 -2.9069
ATOMIC_POSITIONS angstrom
C -1.4976 -3.3589 -2.0401
Cd 0.0000 0.0000 0.0000
```

***

Entry from the Materials Project: CdH8C4N2Cl2 after structural relaxation (PBE). Values from VASP.

## Properties
Total magnetization: 1.999 μB per formula unit
E_form: -16.6 kJ per mole of atoms
Crystal system: monoclinic

The structure in Quantum ESPRESSO input format:
```
&SYSTEM
  ibrav = 0, nat = 34, ntyp = 5
/
ATOMIC_SPECIES
Cl 35.45 Cl.upf
H 1.01 H.upf
C 12.01 C.upf
N 14.01 N.upf
Cd 112.41 Cd.upf
CELL_PARAMETERS angstrom
6.7471 4.8212 0.0000
-6.7471 4.8212 0.0000
0.0000 0.1723 6.8121
ATOMIC_POSITIONS angstrom
Cl -1.0305 8.2784 6.3468
H -2.3945 5.8934 4.4830
H 3.1505 4.9992 6.6053
H 2.3945 3.9213 2.3292
H 1.2936 3.2800 4.3686
H 2.3945 5.8073 1.0769
C 2.3473 6.9121 5.9392
C -3.0480 5.9384 3.5831
N -4.3253 6.3938 4.0514
H 2.8173 6.7498 4.9436
N -4.3253 3.5071 6.1668
H -2.8173 3.0649 1.8686
H -3.1505 4.9130 3.1992
C -2.3473 2.9026 0.8730
H 2.8173 3.1511 5.2746
H -2.8173 6.6637 1.5375
C 2.3473 2.9888 4.2790
C -2.3473 6.8260 2.5331
H -1.2936 3.1939 0.9626
Cl 1.0305 1.5363 0.4654
H 1.2936 6.6209 5.8496
C -3.0480 3.9625 6.6351
C 3.0480 5.8523 0.1771
H -3.1505 4.8156 0.2069
N 4.3253 3.4210 2.7608
H 3.1505 4.9017 3.6130
Cd 5.9551 4.8643 1.7030
Cl -1.0305 1.6225 3.8715
N 4.3253 6.3076 0.6453
C 3.0480 3.8763 3.2290
H -2.3945 4.0075 5.7353
H -1.2936 6.5347 2.4435
Cl 1.0305 8.1923 2.9407
Cd -5.9551 4.9504 5.1091
```